Computed, not measured: an optimized crystal structure of Na6Ga4Si3S3O24 at the PBE level of DFT.

Lattice parameters (Å, degrees): 8.910 8.811 21.980 90.55 89.80 120.30
Fractional coordinates of all 120 atoms:
Na: 0.631 0.003 0.256
Na: 0.357 0.359 0.253
Na: 0.641 0.640 0.742
Na: 0.991 0.367 0.747
Na: 0.025 0.692 0.588
Na: 0.673 0.966 0.583
Na: 0.306 0.968 0.090
Na: 0.029 0.327 0.083
Na: 0.969 0.663 0.907
Na: 0.711 0.040 0.912
Na: 0.958 0.292 0.419
Na: 0.341 0.032 0.415
Na: 0.985 0.995 0.504
Na: 0.996 0.008 0.999
Na: 0.663 0.326 0.827
Na: 0.674 0.337 0.335
Na: 0.330 0.671 0.170
Na: 0.333 0.666 0.665
Ga: 0.990 0.006 0.349
Ga: 0.995 0.019 0.842
Ga: 0.972 0.983 0.648
Ga: 0.993 0.009 0.156
Ga: 0.694 0.351 0.684
Ga: 0.661 0.305 0.189
Ga: 0.686 0.327 0.983
Ga: 0.678 0.324 0.490
Ga: 0.344 0.664 0.015
Ga: 0.355 0.657 0.523
Ga: 0.319 0.684 0.313
Ga: 0.315 0.672 0.808
Si: 0.279 0.997 0.249
Si: 0.005 0.305 0.251
Si: 0.003 0.721 0.750
Si: 0.694 0.000 0.750
Si: 0.974 0.334 0.583
Si: 0.663 0.612 0.584
Si: 0.665 0.027 0.083
Si: 0.052 0.376 0.917
Si: 0.625 0.953 0.417
S: 0.711 0.704 0.249
S: 0.292 0.287 0.750
S: 0.375 0.046 0.583
S: 0.952 0.625 0.084
S: 0.386 0.338 0.082
S: 0.623 0.658 0.918
S: 0.334 0.964 0.919
S: 0.337 0.377 0.415
S: 0.038 0.668 0.417
O: 0.193 0.031 0.310
O: 0.818 0.782 0.304
O: 0.955 0.172 0.308
O: 0.216 0.185 0.807
O: 0.973 0.808 0.814
O: 0.819 0.050 0.812
O: 0.778 0.955 0.692
O: 0.178 0.208 0.697
O: 0.035 0.838 0.690
O: 0.787 0.819 0.194
O: 0.047 0.226 0.189
O: 0.166 0.968 0.186
O: 0.891 0.379 0.642
O: 0.491 0.130 0.636
O: 0.631 0.500 0.646
O: 0.865 0.511 0.136
O: 0.618 0.112 0.141
O: 0.486 0.363 0.139
O: 0.472 0.314 0.028
O: 0.851 0.549 0.026
O: 0.707 0.154 0.023
O: 0.450 0.146 0.525
O: 0.698 0.523 0.524
O: 0.846 0.282 0.522
O: 0.546 0.697 0.972
O: 0.160 0.465 0.981
O: 0.305 0.854 0.975
O: 0.528 0.839 0.477
O: 0.300 0.456 0.469
O: 0.147 0.698 0.471
O: 0.116 0.631 0.362
O: 0.503 0.870 0.355
O: 0.358 0.479 0.359
O: 0.140 0.507 0.860
O: 0.373 0.885 0.866
O: 0.521 0.634 0.863
O: 0.029 0.831 0.409
O: 0.823 0.981 0.411
O: 0.176 0.196 0.412
O: 0.020 0.175 0.911
O: 0.177 0.976 0.913
O: 0.801 0.816 0.916
O: 0.986 0.158 0.592
O: 0.201 0.027 0.588
O: 0.842 0.808 0.586
O: 0.978 0.804 0.087
O: 0.845 0.019 0.091
O: 0.209 0.176 0.084
O: 0.679 0.175 0.742
O: 0.465 0.309 0.746
O: 0.824 0.525 0.749
O: 0.688 0.528 0.241
O: 0.830 0.319 0.244
O: 0.474 0.180 0.245
O: 0.641 0.500 0.926
O: 0.854 0.360 0.922
O: 0.494 0.142 0.925
O: 0.642 0.154 0.422
O: 0.489 0.355 0.421
O: 0.864 0.509 0.420
O: 0.359 0.492 0.079
O: 0.128 0.640 0.079
O: 0.480 0.838 0.073
O: 0.354 0.867 0.578
O: 0.502 0.652 0.582
O: 0.155 0.521 0.572
O: 0.319 0.835 0.252
O: 0.536 0.686 0.254
O: 0.189 0.490 0.260
O: 0.310 0.466 0.757
O: 0.164 0.681 0.753
O: 0.513 0.812 0.762

**Calculated total energy**: -6.10 eV/atom
**E (MP2020)**: -0.4788 Ry/atom
**Formation enthalpy at 0 K**: -2.33 eV/atom


Computed, not measured: an optimized crystal structure of Hf23Se25 at the PBE level of DFT.

Lattice parameters (Å, degrees): 7.940 8.017 15.850 98.13 90.21 102.08
Fractional coordinates of all 48 atoms:
Hf: 0.283 0.932 0.920
Hf: 0.850 0.734 0.881
Hf: 0.094 0.941 0.721
Hf: 0.406 0.534 0.837
Hf: 0.719 0.129 0.965
Hf: 0.641 0.730 0.680
Hf: 0.973 0.337 0.795
Hf: 0.207 0.533 0.640
Hf: 0.522 0.132 0.758
Hf: 0.439 0.729 0.484
Hf: 0.766 0.334 0.599
Hf: 0.692 0.938 0.317
Hf: 0.004 0.531 0.440
Hf: 0.331 0.130 0.563
Hf: 0.570 0.335 0.402
Hf: 0.247 0.735 0.279
Hf: 0.806 0.535 0.238
Hf: 0.124 0.133 0.356
Hf: 0.488 0.934 0.120
Hf: 0.046 0.733 0.078
Hf: 0.371 0.337 0.201
Hf: 0.922 0.130 0.161
Hf: 0.611 0.529 0.044
Se: 0.558 0.793 0.960
Se: 0.121 0.597 0.921
Se: 0.359 0.801 0.760
Se: 0.681 0.398 0.881
Se: 0.002 0.004 0.000
Se: 0.919 0.606 0.719
Se: 0.241 0.202 0.843
Se: 0.152 0.799 0.559
Se: 0.480 0.399 0.679
Se: 0.802 0.003 0.801
Se: 0.037 0.198 0.637
Se: 0.722 0.604 0.520
Se: 0.961 0.799 0.362
Se: 0.606 0.001 0.599
Se: 0.277 0.393 0.479
Se: 0.841 0.197 0.442
Se: 0.522 0.606 0.323
Se: 0.761 0.799 0.159
Se: 0.081 0.401 0.278
Se: 0.401 0.999 0.401
Se: 0.639 0.203 0.241
Se: 0.317 0.599 0.119
Se: 0.887 0.400 0.079
Se: 0.200 0.003 0.198
Se: 0.432 0.198 0.039

**Calculated total energy**: -7.75 eV/atom
**E (MP2020)**: -0.5877 Ry/atom
**Formation enthalpy at 0 K**: -1.40 eV/atom


Computed, not measured: an optimized crystal structure of Li3TiP2O8 at the PBE level of DFT.

Lattice parameters (Å, degrees): 8.926 4.980 7.814 55.28 90.00 90.00
Fractional coordinates of all 28 atoms:
Li: 0.142 0.319 0.696
Li: 0.500 0.000 0.000
Li: 0.642 0.681 0.804
Li: 0.000 0.000 0.500
Li: 0.358 0.319 0.196
Li: 0.858 0.681 0.304
Ti: 0.500 0.500 0.500
Ti: 0.000 0.500 0.000
P: 0.181 0.805 0.223
P: 0.681 0.195 0.277
P: 0.319 0.805 0.723
P: 0.819 0.195 0.777
O: 0.355 0.820 0.249
O: 0.099 0.741 0.413
O: 0.357 0.525 0.693
O: 0.134 0.140 0.022
O: 0.857 0.475 0.807
O: 0.634 0.860 0.478
O: 0.599 0.259 0.087
O: 0.855 0.180 0.251
O: 0.145 0.820 0.749
O: 0.401 0.741 0.913
O: 0.366 0.140 0.522
O: 0.143 0.525 0.193
O: 0.866 0.860 0.978
O: 0.643 0.475 0.307
O: 0.901 0.259 0.587
O: 0.645 0.180 0.751

**Calculated total energy**: -6.99 eV/atom
**E (MP2020)**: -0.5426 Ry/atom
**Formation enthalpy at 0 K**: -2.81 eV/atom
**E above lowest polymorph**: 2 meV/atom